No. 1
## FeCu3 (GGA-PBE)

Data for a relaxed structure of FeCu3.

Electronic total energy (eV/atom): -5.09
Crystal system: orthorhombic
V (Å³ per atom): 11.96

abc: 2.476 2.476 8.231
angles: 90.00 90.00 108.52
Sites, in units of the cell vectors:
1 Cu 0.500 0.500 0.749
2 Cu 0.000 0.000 0.500
3 Cu 0.500 0.500 0.251
4 Fe 0.000 0.000 0.000

---

No. 2
## Fe2CuGe2 (GGA-PBE)

Data for a relaxed structure of Fe2CuGe2.

Electronic total energy (eV/atom): -6.14
Crystal system: orthorhombic
V (Å³ per atom): 13.34

abc: 3.971 4.954 6.779
angles: 90.00 90.00 90.00
Sites, in units of the cell vectors:
1 Fe 0.500 0.250 0.841
2 Fe 0.500 0.000 0.500
3 Fe 0.500 0.750 0.159
4 Fe 0.500 0.500 0.500
5 Cu 0.000 0.500 0.000
6 Cu 0.000 0.000 0.000
7 Ge 0.500 0.750 0.807
8 Ge 0.000 0.750 0.376
9 Ge 0.500 0.250 0.193
10 Ge 0.000 0.250 0.624

---

No. 3
## FeCu2GeS4 (GGA-PBE)

Data for a relaxed structure of FeCu2GeS4.

Electronic total energy (eV/atom): -5.06
MP2020-corrected energy (eV/atom): -5.310
Crystal system: tetragonal
V (Å³ per atom): 18.65

abc: 6.453 6.453 6.453
angles: 131.13 131.13 71.61
Sites, in units of the cell vectors:
1 S 0.624 0.624 0.500
2 S 0.124 0.124 0.500
3 S 0.376 0.876 0.000
4 S 0.876 0.376 0.000
5 Fe 0.000 0.000 0.000
6 Cu 0.250 0.750 0.500
7 Cu 0.750 0.250 0.500
8 Ge 0.500 0.500 0.000

---

No. 4
## FeCu2GeS4 (GGA-PBE)

Data for a relaxed structure of FeCu2GeS4.

Electronic total energy (eV/atom): -5.06
MP2020-corrected energy (eV/atom): -5.309
Crystal system: tetragonal
V (Å³ per atom): 18.69

abc: 6.494 6.494 6.494
angles: 131.71 131.71 70.69
Sites, in units of the cell vectors:
1 Cu 0.250 0.750 0.500
2 Cu 0.000 0.000 0.000
3 S 0.624 0.622 0.498
4 S 0.378 0.876 0.003
5 S 0.874 0.376 0.997
6 S 0.124 0.126 0.502
7 Fe 0.750 0.250 0.500
8 Ge 0.500 0.500 0.000

---

Values for ρ, g/cm³, ordered as above
8.56; 7.98; 4.27; 4.26